1.
Density functional theory data (PBE) for an optimized crystal structure of KBS4O14.

Results
Total energy (eV for the cell shown): -490.664

extended XYZ file:
```
80
Lattice="-6.595 3.828 -5.799 3.906 -7.017 -5.222 -9.823 -9.299 3.988" Properties=species:S:1:pos:R:3 pbc="T T T"
K -8.654 -9.389 -7.016
K -4.378 -4.084 -9.045
K -8.017 -8.093 -0.265
K -3.422 -3.117 -2.277
B -3.828 -8.520 -4.709
B -13.293 -8.466 -2.966
B -8.347 -3.361 -4.523
B -8.307 -13.125 -2.257
S -11.433 -6.636 -2.172
S -1.981 -6.676 -3.916
S -11.841 -7.465 -4.924
S -2.676 -7.209 -6.684
S -6.127 -9.471 -3.774
S -4.547 -1.382 -5.951
S -3.878 -11.188 -4.191
S -6.162 0.894 -6.581
S -9.617 -1.026 -4.409
S -6.026 -14.458 -1.947
S -4.331 -7.191 0.416
S -2.434 0.571 -1.744
S -10.037 -11.792 -3.813
S -6.993 -5.214 -5.909
S -10.067 -11.499 -0.956
S -6.853 -5.096 -3.043
O -11.553 -5.238 -1.920
O -0.603 -6.825 -3.582
O -10.537 -7.442 -1.403
O -2.796 -5.715 -3.241
O -6.261 -10.352 0.503
O -5.657 -1.253 -1.728
O -10.905 -7.947 -5.880
O -3.075 -6.312 -7.714
O -6.709 -9.787 -5.043
O -4.814 -2.022 -7.202
O -6.941 -9.226 -2.632
O -4.391 -2.138 -4.755
O -2.834 -11.355 -3.230
O -6.345 1.993 -5.686
O -8.194 -5.254 0.194
O -0.618 -3.356 -1.653
O -9.372 0.267 -4.965
O -4.697 -14.284 -2.445
O -10.234 -1.177 -3.128
O -6.264 -14.999 -0.646
O -4.289 -7.721 -0.905
O -2.890 0.557 -3.092
O -5.539 -7.257 1.187
O -2.581 -0.590 -0.914
O -9.872 -10.859 -4.876
O -5.999 -5.136 -6.927
O -7.973 -6.250 -5.896
O -1.282 -3.439 -7.792
O -1.403 -3.000 -4.711
O -7.703 -6.215 -2.794
O -9.766 -10.387 -0.112
O -5.778 -4.784 -2.157
O -12.859 -7.247 -2.236
O -2.636 -8.084 -3.938
O -12.445 -8.682 -4.154
O -3.951 -7.732 -5.951
O -5.057 -8.348 -3.903
O -3.383 -0.355 -6.075
O -3.653 -9.946 -5.087
O -4.867 1.031 -7.418
O -8.323 -1.877 -4.535
O -6.824 -13.147 -2.189
O -9.760 -3.845 -4.484
O 0.984 -5.219 -6.157
O -7.630 -3.801 -5.738
O -8.657 -12.463 -3.531
O -8.788 -12.373 -1.091
O -7.675 -3.800 -3.294
O -10.909 -6.791 -3.748
O -2.035 -6.234 -5.524
O -5.185 -10.729 -3.290
O -5.796 -0.376 -5.587
O -3.955 -5.577 0.236
O -10.623 -8.412 2.133
O -10.161 -10.825 -2.465
O -6.103 -5.294 -4.505
```

---

2.
Density functional theory data (PBE) for an optimized crystal structure of Li22Ge5.

Results
Total energy (eV for the cell shown): -290.019

extended XYZ file:
```
108
Lattice="-9.433 -9.433 0.000 -9.433 0.000 -9.433 0.000 -9.433 -9.433" Properties=species:S:1:pos:R:3 pbc="T T T"
Li 0.000 0.000 0.000
Li -9.433 -9.433 -9.433
Li -14.149 -14.149 -14.149
Li -4.716 -4.716 -4.716
Li -10.861 -10.861 -17.437
Li -10.861 -17.437 -10.861
Li -17.437 -10.861 -10.861
Li -17.437 -17.437 -17.437
Li -12.615 -12.615 -15.683
Li -12.615 -15.683 -12.615
Li -15.683 -12.615 -12.615
Li -15.683 -15.683 -15.683
Li -15.618 -15.618 -12.680
Li -15.618 -12.680 -15.618
Li -12.680 -15.618 -15.618
Li -12.680 -12.680 -12.680
Li -7.968 -7.968 -10.897
Li -7.968 -10.897 -7.968
Li -10.897 -7.968 -7.968
Li -10.897 -10.897 -10.897
Li -11.001 -11.001 -7.864
Li -11.001 -7.864 -11.001
Li -7.864 -11.001 -11.001
Li -7.864 -7.864 -7.864
Li -6.205 -6.205 -3.227
Li -6.205 -3.227 -6.205
Li -3.227 -6.205 -6.205
Li -3.227 -3.227 -3.227
Li -9.433 -3.164 -9.433
Li -9.433 -9.433 -15.701
Li -3.164 -9.433 -9.433
Li -9.433 -15.701 -9.433
Li -9.433 -9.433 -3.164
Li -15.701 -9.433 -9.433
Li -4.716 -1.620 -4.716
Li -4.716 -4.716 -7.813
Li -1.620 -4.716 -4.716
Li -4.716 -7.813 -4.716
Li -4.716 -4.716 -1.620
Li -7.813 -4.716 -4.716
Li -18.832 -15.765 -15.765
Li -12.533 -18.832 -12.533
Li -15.765 -12.533 -9.466
Li -18.832 -12.533 -12.533
Li -12.533 -9.466 -15.765
Li -15.765 -15.765 -18.832
Li -9.466 -15.765 -12.533
Li -15.765 -18.832 -15.765
Li -12.533 -12.533 -18.832
Li -9.466 -12.533 -15.765
Li -15.765 -9.466 -12.533
Li -12.533 -15.765 -9.466
Li -9.516 -12.505 -6.360
Li -12.505 -9.516 -6.360
Li -12.505 -12.505 -9.350
Li -9.516 -6.360 -12.505
Li -12.505 -9.350 -12.505
Li -12.505 -6.360 -9.516
Li -9.350 -12.505 -12.505
Li -6.360 -9.516 -12.505
Li -6.360 -12.505 -9.516
Li -9.350 -6.360 -6.360
Li -6.360 -9.350 -6.360
Li -6.360 -6.360 -9.350
Li -11.094 -4.787 -7.772
Li -11.094 -11.094 -14.078
Li -4.787 -11.094 -7.772
Li -11.094 -14.078 -11.094
Li -11.094 -7.772 -4.787
Li -4.787 -7.772 -11.094
Li -7.772 -4.787 -11.094
Li -7.772 -11.094 -4.787
Li -14.078 -11.094 -11.094
Li -7.772 -14.078 -7.772
Li -7.772 -7.772 -14.078
Li -14.078 -7.772 -7.772
Li -11.032 -14.117 -7.833
Li -11.032 -11.032 -4.748
Li -14.117 -11.032 -7.833
Li -11.032 -4.748 -11.032
Li -11.032 -7.833 -14.117
Li -14.117 -7.833 -11.032
Li -7.833 -14.117 -11.032
Li -7.833 -11.032 -14.117
Li -4.748 -11.032 -11.032
Li -7.833 -4.748 -7.833
Li -7.833 -7.833 -4.748
Li -4.748 -7.833 -7.833
Ge -7.766 -7.766 -1.667
Ge -7.766 -1.667 -7.766
Ge -1.667 -7.766 -7.766
Ge -1.667 -1.667 -1.667
Ge -12.572 -12.572 -6.293
Ge -12.572 -6.293 -12.572
Ge -6.293 -12.572 -12.572
Ge -6.293 -6.293 -6.293
Ge -9.433 -6.128 -9.433
Ge -9.433 -9.433 -12.737
Ge -6.128 -9.433 -9.433
Ge -9.433 -12.737 -9.433
Ge -9.433 -9.433 -6.128
Ge -12.737 -9.433 -9.433
Ge -14.149 -10.831 -14.149
Ge -14.149 -14.149 -17.467
Ge -10.831 -14.149 -14.149
Ge -14.149 -17.467 -14.149
Ge -14.149 -14.149 -10.831
Ge -17.467 -14.149 -14.149
```

---

3.
Density functional theory data (PBE) for an optimized crystal structure of Ca3Cr3N5.

Results
Total energy (eV for the cell shown): -170.276

extended XYZ file:
```
22
Lattice="-2.287 1.087 5.011 5.140 -3.795 2.503 3.136 7.314 -2.490" Properties=species:S:1:pos:R:3 pbc="T T T"
Ca 2.235 3.783 3.642
Ca 3.754 0.822 1.382
Ca 5.729 3.875 3.303
Ca 0.260 0.730 1.721
Ca 2.577 -0.345 4.436
Ca 3.413 4.950 0.588
Cr 2.631 6.831 2.949
Cr 3.358 -2.226 2.075
Cr 5.091 1.297 4.466
Cr 0.898 3.308 0.558
Cr 6.466 1.906 1.024
Cr -0.477 2.699 4.000
N 0.850 6.344 3.100
N 5.139 -1.739 1.924
N 3.345 1.922 4.704
N 2.644 2.683 0.320
N 3.892 5.425 2.859
N 2.097 -0.820 2.165
N 5.861 1.410 2.728
N 0.128 3.195 2.296
N 6.275 3.695 0.762
N -0.286 0.910 4.262
```

---

| no. | formation energy from the elements (kcal/mol of atoms) |
| --- | --- |
| 1 | -44.60 |
| 2 | -6.31 |
| 3 | -21.56 |